Computed, not measured: a relaxed Mg3MnTe4 crystal at the PBE-GGA level of DFT.

Unit cell a=4.5836 b=4.5836 c=12.9022 alpha=90.00 beta=90.00 gamma=90.00
Closest atoms and distances in Å follow each position.
Element x y z (fractional)
Mg1 0.0000 0.0000 0.0000  4 Te 2.80
Mg2 0.5000 0.5000 0.2512  4 Te 2.81-2.83
Mg3 0.5000 0.5000 0.7488  4 Te 2.81-2.83
Mn1 0.0000 0.0000 0.5000  4 Te 2.77
Te1 0.0000 0.5000 0.1252  4 Mg 2.80-2.81
Te2 0.0000 0.5000 0.6202  2 Mn 2.77, 2 Mg 2.83
Te3 0.5000 0.0000 0.3798  2 Mn 2.77, 2 Mg 2.83
Te4 0.5000 0.0000 0.8748  4 Mg 2.80-2.81

Properties
The calculation puts the calculated total energy at -3.994 eV per atom. For the energy relative to the elements, the calculation gives -0.89 eV/atom. The space group is P-4m2, No. 115. The crystal system is tetragonal.